The following is a PBE calculation of Ta3Ir after structural relaxation, from Materials Project.

Cell lengths 6.489, 6.489, 6.489 Å; angles 90.00, 90.00, 90.00 degrees
Space group Fm-3m (No. 225)
Asymmetric unit:
Ta 0.000 0.000 0.000 x4
Ta 0.250 0.250 0.250 x8
Ir 0.000 0.000 0.500 x4

Computed properties:
Energy of formation ... -1.3 eV per formula unit
Total energy ... -45.70 eV per formula unit
V ... 273.2 Å³ per cell